[1]
# ErHO2 | Materials Project | PBE | relaxed
# volume: 10.9 Å³/atom
# energy of formation from the pure elements: -292.0 kJ per mole of atoms
data_ErHO2
_chemical_formula_sum 'Er2 H2 O4'
_cell_length_a 4.308
_cell_length_b 3.616
_cell_length_c 5.952
_cell_angle_alpha 90.00
_cell_angle_beta 109.71
_cell_angle_gamma 90.00
_space_group_name_H-M_alt 'P 1 21/m 1'
_space_group_IT_number 11
_space_group_name_Hall '-P 2yb'
loop_
_atom_site_label
_atom_site_type_symbol
_atom_site_fract_x
_atom_site_fract_y
_atom_site_fract_z
Er1 Er 0.164 0.250 0.311
H1 H 0.484 0.750 0.096
O1 O 0.247 0.750 0.067
O2 O 0.267 0.750 0.553

---

[2]
# ErP2H3O10 | Materials Project | PBE | relaxed
# volume: 13.5 Å³/atom
# energy of formation from the pure elements: -207.3 kJ per mole of atoms
data_ErP2H3O10
_chemical_formula_sum 'Er2 P4 H6 O20'
_cell_length_a 6.455
_cell_length_b 6.975
_cell_length_c 9.762
_cell_angle_alpha 83.41
_cell_angle_beta 82.92
_cell_angle_gamma 89.98
_space_group_name_H-M_alt 'P 1'
_space_group_IT_number 1
_space_group_name_Hall 'P 1'
loop_
_atom_site_label
_atom_site_type_symbol
_atom_site_fract_x
_atom_site_fract_y
_atom_site_fract_z
Er1 Er 0.000 0.000 0.000
Er2 Er 0.270 0.495 0.064
P1 P 0.449 0.985 0.092
P2 P 0.572 0.607 0.737
P3 P 0.696 0.893 0.326
P4 P 0.819 0.509 0.971
H1 H 0.018 0.049 0.684
H2 H 0.240 0.495 0.381
H3 H 0.474 0.543 0.317
H4 H 0.628 0.931 0.550
H5 H 0.642 0.570 0.513
H6 H 0.798 0.953 0.748
O1 O 0.110 0.794 0.476
O2 O 0.145 0.963 0.493
O3 O 0.304 0.821 0.066
O4 O 0.307 0.166 0.078
O5 O 0.312 0.114 0.846
O6 O 0.339 0.489 0.298
O7 O 0.381 0.538 0.836
O8 O 0.487 0.955 0.252
O9 O 0.592 0.493 0.608
O10 O 0.596 0.824 0.698
O11 O 0.614 0.490 0.063
O12 O 0.655 0.001 0.001
O13 O 0.669 0.008 0.455
O14 O 0.681 0.676 0.366
O15 O 0.781 0.539 0.811
O16 O 0.886 0.967 0.227
O17 O 0.929 0.013 0.771
O18 O 0.960 0.379 0.216
O19 O 0.963 0.329 0.985
O20 O 0.963 0.673 0.999

---

[3]
# ErH3S3O12 | Materials Project | PBE | relaxed
# volume: 12.9 Å³/atom
# relative energy among the computed polymorphs: 0 meV/atom
# energy of formation from the pure elements: -196.7 kJ per mole of atoms
data_ErH3S3O12
_chemical_formula_sum 'Er8 H24 S24 O96'
_cell_length_a 9.563
_cell_length_b 16.878
_cell_length_c 12.102
_cell_angle_alpha 90.00
_cell_angle_beta 90.00
_cell_angle_gamma 90.00
_space_group_name_H-M_alt 'P b c a'
_space_group_IT_number 61
_space_group_name_Hall '-P 2ac 2ab'
loop_
_atom_site_label
_atom_site_type_symbol
_atom_site_fract_x
_atom_site_fract_y
_atom_site_fract_z
Er1 Er 0.165 0.232 0.107
H1 H 0.104 0.568 0.741
H2 H 0.116 0.054 0.421
H3 H 0.119 0.003 0.919
S1 S 0.014 0.160 0.363
S2 S 0.094 0.603 0.516
S3 S 0.171 0.665 0.842
O1 O 0.013 0.132 0.060
O2 O 0.019 0.074 0.417
O3 O 0.032 0.562 0.612
O4 O 0.035 0.705 0.834
O5 O 0.059 0.217 0.446
O6 O 0.106 0.157 0.267
O7 O 0.134 0.669 0.165
O8 O 0.144 0.575 0.817
O9 O 0.183 0.540 0.449
O10 O 0.199 0.662 0.546
O11 O 0.229 0.665 0.953
O12 O 0.230 0.193 0.759

---

Question: Which of these has the lowest energy of formation from the pure elements?
Answer: ErHO2

---

Question: energy of formation from the pure elements of number 3 (ErH3S3O12)?
Answer: -196.7 kJ per mole of atoms

---

Copy entry 1 word for word.
# ErHO2 | Materials Project | PBE | relaxed
# volume: 10.9 Å³/atom
# energy of formation from the pure elements: -292.0 kJ per mole of atoms
data_ErHO2
_chemical_formula_sum 'Er2 H2 O4'
_cell_length_a 4.308
_cell_length_b 3.616
_cell_length_c 5.952
_cell_angle_alpha 90.00
_cell_angle_beta 109.71
_cell_angle_gamma 90.00
_space_group_name_H-M_alt 'P 1 21/m 1'
_space_group_IT_number 11
_space_group_name_Hall '-P 2yb'
loop_
_atom_site_label
_atom_site_type_symbol
_atom_site_fract_x
_atom_site_fract_y
_atom_site_fract_z
Er1 Er 0.164 0.250 0.311
H1 H 0.484 0.750 0.096
O1 O 0.247 0.750 0.067
O2 O 0.267 0.750 0.553